Compound: HfMo2O8
Source: the Materials Project
Functional: PBE+U
Structure: relaxed

## Properties
The calculation puts the MP2020-corrected energy at -565.5 eV per cell. The calculated total energy comes out at -7.487 eV/atom. For the total magnetization, the calculation gives 0.000 μB/atom. As for the formation enthalpy at 0 K: -2093 meV per atom.

CIF file:
```
data_HfMo2O8
_cell_length_a 10.3696
_cell_length_b 10.3696
_cell_length_c 9.5777
_cell_angle_alpha 90.00
_cell_angle_beta 90.00
_cell_angle_gamma 120.00
_space_group_name_H-M_alt 'P -3 1 c'
_space_group_IT_number 163
_space_group_name_Hall '-P 3 2c'
loop_
_atom_site_label
_atom_site_type_symbol
_atom_site_fract_x
_atom_site_fract_y
_atom_site_fract_z
Hf1 Hf 0.0000 0.0000 0.2500
Hf2 Hf 0.3333 0.6667 0.0304
Mo1 Mo 0.0088 0.3460 0.2579
O1 O 0.0174 0.1956 0.1591
O2 O 0.0892 0.4835 0.6355
O3 O 0.1079 0.3666 0.8963
O4 O 0.1812 0.4989 0.3633
```

=====

Compound: Hf9Mo4O3
Source: the Materials Project
Functional: PBE+U
Structure: relaxed

## Properties
The calculation puts the MP2020-corrected energy at -319.0 eV per cell. The calculated total energy comes out at -9.038 eV/atom. For the total magnetization, the calculation gives 0.004 μB/atom. As for the formation enthalpy at 0 K: -727 meV per atom.

CIF file:
```
data_Hf9Mo4O3
_cell_length_a 8.6351
_cell_length_b 8.6351
_cell_length_c 8.4454
_cell_angle_alpha 90.00
_cell_angle_beta 90.00
_cell_angle_gamma 120.00
_space_group_name_H-M_alt 'P 63/m m c'
_space_group_IT_number 194
_space_group_name_Hall '-P 6c 2c'
loop_
_atom_site_label
_atom_site_type_symbol
_atom_site_fract_x
_atom_site_fract_y
_atom_site_fract_z
Hf1 Hf 0.0931 0.5465 0.2500
Hf2 Hf 0.2062 0.4123 0.5631
Mo1 Mo 0.0000 0.0000 0.0000
Mo2 Mo 0.1109 0.2219 0.2500
O1 O 0.0000 0.5000 0.0000
```

=====

Compound: HfMo2O8
Source: the Materials Project
Functional: PBE+U
Structure: relaxed

## Properties
The calculation puts the MP2020-corrected energy at -394.5 eV per cell. The calculated total energy comes out at -7.884 eV/atom. For the total magnetization, the calculation gives 0.000 μB/atom. As for the formation enthalpy at 0 K: -2490 meV per atom.

CIF file:
```
data_HfMo2O8
_cell_length_a 11.475
_cell_length_b 8.090
_cell_length_c 7.559
_cell_angle_alpha 90.00
_cell_angle_beta 122.31
_cell_angle_gamma 90.00
_space_group_name_H-M_alt 'C 1 2/c 1'
_space_group_IT_number 15
_space_group_name_Hall '-C 2yc'
loop_
_atom_site_label
_atom_site_type_symbol
_atom_site_fract_x
_atom_site_fract_y
_atom_site_fract_z
Hf1 Hf 0.000 0.020 0.250
Mo1 Mo 0.215 0.278 0.758
O1 O 0.092 0.112 0.578
O2 O 0.125 0.459 0.665
O3 O 0.146 0.199 0.288
O4 O 0.155 0.159 0.938
```

=====

Compound: Hf3Tl10Mo12PbO48
Source: the Materials Project
Functional: PBE+U
Structure: relaxed

## Properties
The calculation puts the MP2020-corrected energy at -1735.4 eV per cell. The calculated total energy comes out at -6.852 eV/atom. As for the formation enthalpy at 0 K: -2076 meV per atom.

CIF file:
```
data_Hf3Tl10Mo12PbO48
_cell_length_a 10.9326
_cell_length_b 10.9326
_cell_length_c 39.5239
_cell_angle_alpha 90.00
_cell_angle_beta 90.00
_cell_angle_gamma 120.00
_space_group_name_H-M_alt 'R -3'
_space_group_IT_number 148
_space_group_name_Hall '-R 3'
loop_
_atom_site_label
_atom_site_type_symbol
_atom_site_fract_x
_atom_site_fract_y
_atom_site_fract_z
Hf1 Hf 0.0000 0.0000 0.0000
Hf2 Hf 0.0000 0.0000 0.2508
Tl1 Tl 0.0000 0.0000 0.1468
Tl2 Tl 0.0000 0.0000 0.3736
Tl3 Tl 0.0038 0.3935 0.7541
Mo1 Mo 0.0210 0.6148 0.3648
Mo2 Mo 0.0226 0.3862 0.8690
Pb1 Pb 0.0000 0.0000 0.5000
O1 O 0.0036 0.7430 0.6561
O2 O 0.0049 0.2826 0.1581
O3 O 0.0193 0.7564 0.3856
O4 O 0.0274 0.8449 0.4580
O5 O 0.0287 0.2407 0.8877
O6 O 0.0470 0.1737 0.9695
O7 O 0.0703 0.1766 0.2205
O8 O 0.0882 0.9061 0.7191
```

=====

Which of these has the lowest calculated total energy? Hf9Mo4O3